Entry 1:
Here is crystalline Na2TiO3 at its relaxed geometry from Materials Project. Energies are from PBE.

Values from the calculation:
**E_form**: -2630 meV/atom
**E_tot**: -39.10 eV per cell
**M_tot**: 0.000 μB/atom

a b c (Å): 5.7525 5.7525 5.7525
angles (deg): 149.48 136.61 53.98
Element x y z (fractional)
Na: 0.1743 0.1743 0.0000
Na: 0.8257 0.8257 0.0000
Ti: 0.5000 0.5000 0.0000
O: 0.0000 0.5000 0.5000
O: 0.3720 0.8720 0.5000
O: 0.6280 0.1280 0.5000

Entry 2:
Here is crystalline Na2Ti6O13 at its relaxed geometry from Materials Project. Energies are from PBE.

Values from the calculation:
**E_form**: -3317 meV/atom
**E_tot**: -175.06 eV per cell

a b c (Å): 7.8659 7.8659 9.2920
angles (deg): 98.79 98.79 27.66
Element x y z (fractional)
Na: 0.0374 0.0374 0.2303
Na: 0.9626 0.9626 0.7697
Ti: 0.2731 0.2731 0.7305
Ti: 0.3342 0.3342 0.0647
Ti: 0.3852 0.3852 0.4048
Ti: 0.6148 0.6148 0.5952
Ti: 0.6658 0.6658 0.9353
Ti: 0.7269 0.7269 0.2695
O: 0.1441 0.1441 0.6175
O: 0.2024 0.2024 0.9290
O: 0.2593 0.2593 0.2541
O: 0.3376 0.3376 0.5878
O: 0.3736 0.3736 0.8862
O: 0.4299 0.4299 0.2080
O: 0.5000 0.5000 0.5000
O: 0.5701 0.5701 0.7920
O: 0.6264 0.6264 0.1138
O: 0.6624 0.6624 0.4122
O: 0.7407 0.7407 0.7459
O: 0.7976 0.7976 0.0710
O: 0.8559 0.8559 0.3825

Entry 3:
Here is crystalline Na4TiO4 at its relaxed geometry from Materials Project. Energies are from PBE.

Values from the calculation:
**E_form**: -2383 meV/atom
**E_tot**: -103.36 eV per cell
**M_tot**: 0.000 μB/atom

a b c (Å): 6.1890 6.1890 6.7933
angles (deg): 90.00 90.00 89.14
Element x y z (fractional)
Na: 0.0600 0.6345 0.7500
Na: 0.3364 0.3364 0.0000
Na: 0.3364 0.3364 0.5000
Na: 0.3655 0.9400 0.7500
Na: 0.6345 0.0600 0.2500
Na: 0.6636 0.6636 0.0000
Na: 0.6636 0.6636 0.5000
Na: 0.9400 0.3655 0.2500
Ti: 0.1692 0.8308 0.2500
Ti: 0.8308 0.1692 0.7500
O: 0.1202 0.2353 0.7500
O: 0.2353 0.1202 0.2500
O: 0.2920 0.7080 0.0258
O: 0.2920 0.7080 0.4742
O: 0.7080 0.2920 0.5258
O: 0.7080 0.2920 0.9742
O: 0.7647 0.8798 0.7500
O: 0.8798 0.7647 0.2500